# 1
Below is an optimized crystal structure of Ta2NiN6F12, with properties calculated at the GGA+U level.

Results
formation energy: -60 kJ/mol of atoms
total magnetic moment: 0.3810 μB per atom

Structure (extended XYZ):
```
21
Lattice="0.000 6.486 6.486 6.486 0.000 6.486 6.486 6.486 0.000" Properties=species:S:1:pos:R:3 pbc="T T T"
F 3.243 3.243 5.168
F 3.243 5.168 3.243
F 9.729 7.804 9.729
F 9.729 9.729 7.804
F 3.243 3.243 1.318
F 11.654 9.729 9.729
F 7.804 9.729 9.729
F 5.168 3.243 3.243
F 9.729 9.729 11.654
F 9.729 11.654 9.729
F 3.243 1.318 3.243
F 1.318 3.243 3.243
N 8.513 6.486 6.486
N 4.458 6.486 6.486
N 6.486 4.458 6.486
N 6.486 6.486 4.458
N 6.486 6.486 8.513
N 6.486 8.513 6.486
Ta 3.243 3.243 3.243
Ta 9.729 9.729 9.729
Ni 6.486 6.486 6.486
```

---

# 2
Below is an optimized crystal structure of VNO6F, with properties calculated at the GGA+U level.

Results
formation energy: 16 kJ/mol of atoms
total magnetic moment: 0.6667 μB per atom

Structure (extended XYZ):
```
36
Lattice="0.000 0.000 -8.079 0.000 -9.464 0.000 -11.181 0.000 0.000" Properties=species:S:1:pos:R:3 pbc="T T T"
N 0.000 -2.452 -2.020
N -5.590 -2.160 -6.059
N 0.000 -7.012 -6.059
N -5.590 -7.304 -2.020
O -2.118 -4.732 0.000
O -2.632 -1.298 -0.996
O -8.153 -6.721 -7.978
O -8.549 -8.166 -5.036
O -8.193 0.000 0.000
O -8.580 -7.892 -3.655
O -8.580 -1.572 -4.424
O -8.663 -6.419 -1.087
O -3.028 -2.743 -3.939
O -2.988 0.000 -4.039
O -4.714 -4.764 -3.378
O -8.153 -2.743 -0.101
O -9.063 -4.732 -4.039
O -6.467 -4.764 -0.661
O -8.663 -3.045 -6.992
O -3.028 -6.721 -4.140
O -8.549 -1.298 -3.043
O -6.467 -4.700 -7.418
O -2.600 -1.572 -7.694
O -2.600 -7.892 -0.385
O -2.518 -6.419 -2.952
O -4.714 -4.700 -4.701
O -2.632 -8.166 -7.083
O -2.518 -3.045 -5.127
F -5.352 0.000 0.000
F -0.998 -4.732 -4.039
F -10.183 -4.732 0.000
F -5.829 0.000 -4.039
V -2.796 -4.732 -4.039
V -3.574 0.000 0.000
V -7.607 0.000 -4.039
V -8.385 -4.732 0.000
```

---

# 3
Below is an optimized crystal structure of WN2O2F4, with properties calculated at the GGA+U level.

Results
formation energy: -46 kJ/mol of atoms
total magnetic moment: 0.6667 μB per atom

Structure (extended XYZ):
```
18
Lattice="7.850 0.000 0.000 0.000 6.198 0.000 0.000 2.321 7.613" Properties=species:S:1:pos:R:3 pbc="T T T"
N 2.010 2.482 6.735
N 1.928 5.870 4.097
N 5.853 2.648 3.516
N 5.935 6.036 0.878
F 0.769 1.402 2.092
F 5.656 5.498 3.778
F 4.694 7.116 5.521
F 7.490 4.633 5.381
F 7.169 7.023 6.291
F 3.244 1.495 1.322
F 3.565 3.885 2.231
F 1.731 3.020 3.835
W 2.045 2.796 1.983
W 5.970 5.723 5.630
O 1.526 3.472 0.274
O 0.844 4.176 1.424
O 4.769 4.342 6.189
O 5.451 5.046 7.339
```